Record 1
Computed, not measured: Sc2InNi2 after structural relaxation at the r²SCAN level of DFT.

POSCAR file:
```
Sc2InNi2
1.0
-1.532 -1.366 -2.623
3.920 -5.911 0.788
-4.978 -2.725 4.327
Sc In Ni
4 2 4
Direct
0.500 0.172 0.672
0.500 0.328 0.172
0.500 0.672 0.828
0.500 0.828 0.328
0.000 0.000 0.000
0.000 0.500 0.500
0.000 0.378 0.878
0.000 0.122 0.378
0.000 0.878 0.622
0.000 0.622 0.122
```

Values from the calculation:
The total energy comes out at -14.391 eV/atom. The value obtained for the formation energy is -0.52 eV/atom. For the theoretical density, the calculation gives 6.31 g/cm³. Its space-group type is P4/mbm, No. 127.

Record 2
Computed, not measured: PmDyTl2 after structural relaxation at the r²SCAN level of DFT.

POSCAR file:
```
PmDyTl2
1.0
0.000 3.815 3.815
3.815 0.000 3.815
3.815 3.815 0.000
Pm Dy Tl
1 1 2
Direct
0.000 0.000 0.000
0.500 0.500 0.500
0.250 0.250 0.250
0.750 0.750 0.750
```

Values from the calculation:
The total energy comes out at -42.445 eV/atom. The value obtained for the formation energy is -0.47 eV/atom. For the theoretical density, the calculation gives 10.71 g/cm³. Its space-group type is Fm-3m, No. 225.